--- 1 ---
Entry from the Materials Project database: a geometry-optimized LiMg6CO8 structure (PBE-GGA).

Cell and atoms, written as extended XYZ:
```
16
Lattice="8.461 0.000 0.000 0.000 4.165 0.000 0.000 0.000 4.165" Properties=species:S:1:pos:R:3 pbc="T T T"
O 4.230 0.000 2.083
O 0.000 0.000 2.083
O 6.300 0.000 0.000
O 6.529 2.083 2.083
O 4.230 2.083 0.000
O 2.161 0.000 0.000
O 1.932 2.083 2.083
O 0.000 2.083 0.000
C 0.000 2.083 2.083
Mg 2.023 2.083 0.000
Mg 4.230 2.083 2.083
Mg 2.023 0.000 2.083
Mg 6.438 0.000 2.083
Mg 4.230 0.000 0.000
Mg 6.438 2.083 0.000
Li 0.000 0.000 0.000
```

=====

--- 2 ---
Entry from the Materials Project database: a geometry-optimized LiMg6CO8 structure (PBE-GGA).

Cell and atoms, written as extended XYZ:
```
16
Lattice="-1.874 -4.972 6.352 4.111 -0.668 0.690 0.098 3.309 2.619" Properties=species:S:1:pos:R:3 pbc="T T T"
O -1.325 -3.513 4.488
O 1.630 0.063 3.262
O 0.049 1.655 1.310
O 1.118 -2.820 3.521
O 2.055 -0.334 0.345
O -0.888 -0.831 4.485
O -0.550 -1.458 1.863
O 0.704 -2.393 6.399
Mg 1.167 -1.165 4.830
Mg 2.104 1.321 1.655
Mg -1.361 -2.085 6.087
Mg 0.645 -4.074 5.123
Mg 1.591 -1.566 1.919
Mg -0.416 0.422 2.884
C -0.937 -2.486 3.176
Li 0.000 0.000 0.000
```

=====

2 is favored, and the nearest alternative lies 3.1 kJ/mol of atoms above it.

=====

--- 1 ---
Entry from the Materials Project database: a geometry-optimized Li2CO3 structure (PBE-GGA).

Cell and atoms, written as extended XYZ:
```
12
Lattice="2.522 4.209 0.000 -2.522 4.209 0.000 0.000 2.606 5.788" Properties=species:S:1:pos:R:3 pbc="T T T"
Li 0.257 6.303 0.932
Li -0.257 7.606 3.826
Li 0.257 3.418 1.962
Li -0.257 4.721 4.856
O -0.909 4.861 1.447
O 0.909 6.163 4.341
O 0.327 9.305 4.716
O 0.327 3.022 3.966
O -0.327 8.002 1.822
O -0.327 1.719 1.072
C -2.194 4.861 1.447
C 2.194 6.163 4.341
```

=====

--- 2 ---
Entry from the Materials Project database: a geometry-optimized Li2CO3 structure (PBE-GGA).

Cell and atoms, written as extended XYZ:
```
12
Lattice="2.327 -4.030 0.000 2.327 4.030 0.000 0.000 0.000 5.383" Properties=species:S:1:pos:R:3 pbc="T T T"
O 0.652 -1.129 1.346
O 1.303 0.000 4.037
O 3.350 0.000 1.346
O 0.652 1.129 1.346
O 1.675 2.901 4.037
O 1.675 -2.901 4.037
Li 2.327 -1.343 2.691
Li 2.327 1.343 2.691
Li 2.327 -1.343 0.000
Li 2.327 1.343 0.000
C 0.000 0.000 1.346
C 0.000 0.000 4.037
```

=====

1 is favored, and the nearest alternative lies 6.5 kJ/mol of atoms above it.

=====

--- 1 ---
Entry from the Materials Project database: a geometry-optimized LiTiPCO7 structure (PBE-GGA).

Cell and atoms, written as extended XYZ:
```
22
Lattice="6.336 0.000 0.000 0.000 5.686 0.000 0.000 0.467 8.579" Properties=species:S:1:pos:R:3 pbc="T T T"
O 4.299 4.475 7.900
O 4.854 5.414 1.033
O 2.986 4.693 3.048
O 4.913 3.244 4.225
O 1.745 2.910 4.355
O 1.789 5.269 5.197
O 4.957 0.885 3.382
O 1.698 2.875 7.172
O 1.131 1.678 0.680
O 3.672 1.455 5.515
O 1.686 0.739 7.546
O 6.154 1.461 5.532
O 0.504 4.698 3.065
O 4.867 3.279 1.407
Ti 1.738 1.525 5.679
Ti 4.906 4.629 2.900
Li 2.507 4.668 7.162
Li 5.675 1.486 1.417
P 1.749 4.396 3.915
P 4.917 1.757 4.665
C 1.497 1.932 8.105
C 4.665 4.221 0.475
```

Calculated values
Largest piezoelectric modulus   0.131 C/m2

=====

--- 2 ---
Entry from the Materials Project database: a geometry-optimized LiTiPCO7 structure (PBE-GGA).

Cell and atoms, written as extended XYZ:
```
22
Lattice="6.448 0.000 0.000 0.000 5.244 0.000 0.000 1.129 8.165" Properties=species:S:1:pos:R:3 pbc="T T T"
O 4.836 2.920 1.390
O 0.393 4.548 2.518
O 4.836 4.286 7.308
O 4.836 0.918 3.574
O 1.612 2.087 0.857
O 4.836 4.956 0.577
O 1.612 5.455 4.591
O 1.612 1.417 7.588
O 2.831 4.548 2.518
O 3.617 1.825 5.647
O 1.612 3.007 4.112
O 4.836 3.366 4.053
O 1.612 3.453 6.776
O 6.055 1.825 5.647
Li 4.836 2.304 7.355
Li 1.612 4.069 0.810
P 1.612 4.415 3.462
P 4.836 1.958 4.703
C 4.836 3.638 0.283
C 1.612 2.735 7.882
Ti 4.836 4.530 2.578
Ti 1.612 1.843 5.587
```

=====

1 is favored, and the nearest alternative lies 1.3 kJ/mol of atoms above it.